[1]
# NaMgTi3P3S3O24

Crystalline NaMgTi3P3S3O24 at its relaxed geometry (PBE-GGA, the Materials Project database).

a = 8.6091 Å, b = 8.6082 Å, c = 22.3655 Å
α = 90.04°, β = 90.11°, γ = 120.07°
Element x y z (fractional)
1 O 0.5080 0.8827 0.3604
2 O 0.5042 0.8525 0.0730
3 O 0.4926 0.3514 0.4255
4 O 0.6986 0.5362 0.2461
5 O 0.8449 0.5347 0.7452
6 O 0.4688 0.3027 0.7473
7 O 0.8804 0.5082 0.1398
8 P 0.6204 0.9603 0.4152
9 Na 0.6692 0.3298 0.3311
10 O 0.4868 0.3687 0.1376
11 O 0.2995 0.8386 0.2529
12 O 0.1663 0.1930 0.6946
13 S 0.3778 0.0452 0.5838
14 Mg 0.6694 0.3304 0.1862
15 O 0.6984 0.5332 0.5286
16 Ti 0.3457 0.6806 0.5198
17 P 0.2853 0.2830 0.7511
18 S 0.0015 0.2853 0.2503
19 O 0.8248 0.0252 0.8041
20 S 0.7136 0.0002 0.7509
21 O 0.6271 0.5072 0.6390
22 O 0.8041 0.8309 0.9047
23 O 0.4587 0.3045 0.0300
24 O 0.6966 0.1599 0.7440
25 O 0.0251 0.1953 0.9069
26 Mg 0.6611 0.3361 0.6875
27 O 0.8597 0.3615 0.9234
28 O 0.8011 0.8232 0.1957
29 O 0.3686 0.8673 0.8601
30 O 0.4617 0.1655 0.2466
31 O 0.1683 0.9702 0.9066
32 O 0.4988 0.6319 0.8603
33 O 0.5036 0.6468 0.5690
34 O 0.8806 0.3669 0.6369
35 Ti 0.9953 0.9956 0.1393
36 O 0.9780 0.8093 0.0928
37 O 0.1960 0.0235 0.5913
38 P 0.3385 0.9549 0.9149
39 O 0.5339 0.6968 0.9715
40 O 0.8385 0.2995 0.2475
41 O 0.1955 0.0202 0.3044
42 O 0.1467 0.6470 0.0733
43 O 0.9744 0.1718 0.5909
44 Ti 0.6787 0.3369 0.9799
45 O 0.0202 0.1956 0.1959
46 O 0.4875 0.1175 0.6368
47 O 0.2962 0.4678 0.7598
48 O 0.1734 0.1968 0.4089
49 Ti 0.3343 0.6581 0.8117
50 O 0.5359 0.6984 0.2542
51 S 0.7119 0.7122 0.2497
52 O 0.1324 0.5008 0.8604
53 O 0.8339 0.0258 0.0927
54 P 0.6631 0.0445 0.0846
55 O 0.6227 0.1157 0.1397
56 O 0.8380 0.5336 0.0279
57 Na 0.3309 0.6695 0.1676
58 P 0.0491 0.6662 0.4157
59 Na 0.6609 0.3329 0.8316
60 O 0.0247 0.8332 0.4074
61 S 0.2853 0.0015 0.2498
62 O 0.6473 0.1481 0.4290
63 P 0.0486 0.3831 0.9162
64 O 0.3530 0.8623 0.5735
65 O 0.3531 0.4928 0.0757
66 O 0.1678 0.7047 0.7577
67 O 0.1654 0.4616 0.2540
68 O 0.8100 0.9797 0.4071
69 O 0.1629 0.4663 0.9722
70 O 0.7955 0.9705 0.6959
71 S 0.3792 0.3363 0.0839
72 O 0.1869 0.1650 0.8062
73 P 0.9574 0.6188 0.0849
74 Ti 0.9934 0.9928 0.3593
75 O 0.8415 0.3016 0.5301
76 O 0.8234 0.8018 0.3045
77 P 0.6201 0.6652 0.9161
78 O 0.9814 0.1750 0.3048
79 O 0.3043 0.4587 0.4700
80 O 0.3712 0.4868 0.3628
81 Ti 0.3351 0.6752 0.0179
82 O 0.3049 0.8385 0.9715
83 O 0.1379 0.4912 0.5726
84 S 0.0018 0.7144 0.7511
85 O 0.1153 0.6214 0.3604
86 P 0.6651 0.6222 0.5853
87 O 0.5014 0.1429 0.9243
88 O 0.9723 0.7986 0.8043
89 O 0.6380 0.4974 0.9246
90 O 0.1973 0.1728 0.0913
91 O 0.1753 0.9813 0.1955
92 O 0.0265 0.8248 0.6964
93 O 0.5354 0.8363 0.7574
94 Mg 0.3301 0.6698 0.3135
95 Ti 0.9993 0.0020 0.6446
96 S 0.3346 0.3781 0.4163
97 Ti 0.0089 0.0059 0.8601
98 O 0.5349 0.8400 0.4717
99 Ti 0.6783 0.3472 0.4805
100 O 0.6947 0.1634 0.0282
101 O 0.8328 0.8117 0.5939
102 S 0.9593 0.3370 0.5842
103 O 0.4588 0.1569 0.5299
104 O 0.1637 0.6949 0.4720
105 O 0.8552 0.5039 0.4277

Computed properties:
Raw total energy = -251.244 eV/f.u.
ΔE_f = -2.6778 eV per atom

[2]
# Na5Mg3TiP3S3O24

Crystalline Na5Mg3TiP3S3O24 at its relaxed geometry (PBE-GGA, the Materials Project database).

a = 8.8338 Å, b = 8.8283 Å, c = 22.1664 Å
α = 90.23°, β = 89.96°, γ = 119.88°
Element x y z (fractional)
1 O 0.8576 0.3628 0.9241
2 Na 0.0285 0.6938 0.5812
3 S 0.3749 0.3307 0.0829
4 O 0.2103 0.1901 0.8083
5 P 0.6263 0.6720 0.9196
6 O 0.5006 0.6338 0.8653
7 Mg 0.6658 0.3400 0.6860
8 O 0.0200 0.2149 0.1913
9 O 0.6452 0.1500 0.4270
10 S 0.7003 0.7040 0.2493
11 O 0.1962 0.1778 0.0870
12 Mg 0.3361 0.6736 0.3203
13 O 0.1583 0.4735 0.2530
14 Na 0.6687 0.9611 0.5801
15 O 0.0181 0.1919 0.9095
16 P 0.9610 0.3351 0.5856
17 O 0.9823 0.7888 0.8061
18 O 0.1820 0.1954 0.4102
19 O 0.8088 0.0178 0.8033
20 O 0.3110 0.4475 0.4737
21 O 0.3669 0.4856 0.3652
22 O 0.1488 0.4500 0.9762
23 Mg 0.9989 0.0058 0.6520
24 O 0.1893 0.2226 0.6935
25 O 0.8136 0.7894 0.3023
26 O 0.1308 0.5010 0.8647
27 O 0.8274 0.0306 0.0861
28 Mg 0.3334 0.6675 0.5138
29 Na 0.9996 0.0044 0.4949
30 S 0.3776 0.0437 0.5837
31 Na 0.6975 0.6758 0.4179
32 P 0.3357 0.9577 0.9171
33 O 0.3092 0.8392 0.2545
34 O 0.4850 0.1219 0.6373
35 O 0.2001 0.0249 0.5886
36 Na 0.0338 0.3386 0.0846
37 O 0.8511 0.5283 0.7468
38 O 0.1786 0.9868 0.9092
39 S 0.6635 0.0426 0.0834
40 O 0.6876 0.1540 0.0289
41 P 0.2978 0.2951 0.7514
42 Mg 0.6644 0.3294 0.1863
43 O 0.9745 0.1670 0.5865
44 O 0.6908 0.5328 0.5249
45 O 0.5479 0.6916 0.9780
46 Mg 0.0020 0.0056 0.3530
47 P 0.0435 0.3733 0.9185
48 O 0.1430 0.4972 0.5772
49 Ti 0.6869 0.3379 0.4787
50 O 0.8406 0.3097 0.5278
51 O 0.4975 0.3562 0.4229
52 Na 0.6537 0.3046 0.3335
53 O 0.8445 0.3174 0.2456
54 O 0.6411 0.1238 0.1372
55 O 0.5227 0.8352 0.7577
56 O 0.6318 0.5058 0.6368
57 O 0.1437 0.6900 0.4742
58 Na 0.3333 0.6570 0.6674
59 Ti 0.6735 0.3374 0.9760
60 P 0.9604 0.6260 0.0847
61 O 0.8715 0.3628 0.6391
62 Ti 0.3351 0.6627 0.8142
63 O 0.8480 0.4995 0.4238
64 O 0.1664 0.6900 0.7573
65 S 0.0030 0.7052 0.7512
66 Na 0.3023 0.3393 0.5872
67 P 0.6283 0.9626 0.4181
68 O 0.4822 0.3232 0.7468
69 O 0.0278 0.8096 0.6964
70 O 0.8345 0.8052 0.5873
71 O 0.5137 0.8638 0.0774
72 O 0.8129 0.9871 0.4109
73 O 0.3597 0.4922 0.0787
74 O 0.3006 0.8458 0.9725
75 O 0.5146 0.8813 0.3627
76 O 0.6789 0.1512 0.7452
77 O 0.8366 0.5239 0.0270
78 O 0.4600 0.1543 0.5294
79 O 0.7738 0.9673 0.6942
80 O 0.3150 0.4868 0.7620
81 O 0.9651 0.8030 0.0855
82 O 0.1389 0.6392 0.0774
83 O 0.5041 0.6481 0.5762
84 O 0.1134 0.6347 0.3589
85 O 0.2107 0.0229 0.3039
86 O 0.1866 0.9728 0.1954
87 O 0.5254 0.6829 0.2550
88 Na 0.6590 0.3201 0.8241
89 O 0.8717 0.5118 0.1396
90 O 0.7820 0.8071 0.1932
91 Na 0.9811 0.6789 0.9127
92 P 0.0416 0.6708 0.4166
93 O 0.6895 0.5293 0.2441
94 O 0.5031 0.1471 0.9252
95 P 0.6651 0.6240 0.5832
96 Mg 0.3295 0.6726 0.0161
97 O 0.6376 0.4941 0.9239
98 Na 0.0007 0.6361 0.2547
99 O 0.4714 0.1569 0.2440
100 O 0.4565 0.3087 0.0264
101 O 0.0043 0.8228 0.4111
102 S 0.7017 0.9977 0.7504
103 Mg 0.9991 0.0048 0.8491
104 S 0.2956 0.0014 0.2503
105 Na 0.6669 0.6990 0.0821
106 S 0.0021 0.2947 0.2487
107 Mg 0.0045 0.9954 0.1511
108 Na 0.3370 0.6790 0.1709
109 O 0.9830 0.1864 0.3007
110 O 0.3662 0.8708 0.8612
111 O 0.5521 0.8540 0.4757
112 O 0.3552 0.8655 0.5771
113 O 0.4850 0.3549 0.1352
114 O 0.8123 0.8190 0.9100
115 Na 0.0013 0.9959 0.9958
116 S 0.3340 0.3701 0.4176
117 Na 0.3263 0.2967 0.9093

Computed properties:
Raw total energy = -251.495 eV/f.u.
ΔE_f = -2.5968 eV per atom

[3]
# Na2YMgPS2O12

Crystalline Na2YMgPS2O12 at its relaxed geometry (PBE-GGA, the Materials Project database).

a = 9.0950 Å, b = 9.0382 Å, c = 23.3186 Å
α = 89.72°, β = 90.00°, γ = 120.21°
Element x y z (fractional)
1 Y 0.0008 0.9992 0.6492
2 O 0.4506 0.3090 0.0328
3 Na 0.6575 0.3134 0.8271
4 O 0.4793 0.3605 0.1358
5 O 0.4870 0.1242 0.6324
6 S 0.9918 0.2938 0.2512
7 Na 0.0028 0.6408 0.2430
8 O 0.8608 0.5419 0.0340
9 Y 0.6718 0.3465 0.9828
10 O 0.8409 0.3163 0.2464
11 O 0.3594 0.8781 0.8679
12 O 0.4495 0.1329 0.5289
13 O 0.8584 0.3090 0.5328
14 O 0.6372 0.1242 0.1324
15 O 0.8161 0.8133 0.5884
16 S 0.0411 0.3644 0.9179
17 Na 0.9800 0.9882 0.4937
18 O 0.5513 0.8592 0.4754
19 O 0.2028 0.2177 0.6987
20 Y 0.3464 0.6771 0.3157
21 P 0.6377 0.9633 0.4204
22 P 0.9696 0.6264 0.0876
23 O 0.8141 0.0242 0.8064
24 Na 0.2980 0.9574 0.0797
25 O 0.3079 0.8592 0.9754
26 S 0.9906 0.6995 0.7513
27 O 0.4796 0.1662 0.2438
28 O 0.5031 0.8634 0.0784
29 O 0.1453 0.4697 0.2558
30 Mg 0.6670 0.3281 0.6828
31 Na 0.3369 0.0271 0.4103
32 O 0.0362 0.8348 0.4116
33 O 0.4957 0.1408 0.9231
34 O 0.0148 0.2177 0.1987
35 O 0.6866 0.1662 0.7438
36 O 0.2146 0.1888 0.8023
37 Na 0.6558 0.3134 0.3271
38 O 0.1724 0.1892 0.4130
39 O 0.6451 0.1408 0.4231
40 O 0.7826 0.8032 0.1987
41 S 0.6595 0.0346 0.0830
42 Y 0.6748 0.3465 0.4828
43 O 0.1175 0.4653 0.8654
44 O 0.7012 0.5318 0.2456
45 O 0.8710 0.5247 0.4208
46 O 0.8153 0.7881 0.3018
47 O 0.9742 0.1888 0.3023
48 O 0.1506 0.6497 0.0812
49 O 0.1880 0.9795 0.1976
50 O 0.1684 0.9821 0.9109
51 O 0.3068 0.4502 0.4688
52 Mg 0.3124 0.6617 0.0159
53 S 0.9679 0.3442 0.5846
54 P 0.7100 0.0104 0.7520
55 Na 0.6380 0.6408 0.7430
56 Mg 0.9927 0.0048 0.3496
57 O 0.3592 0.4952 0.0768
58 O 0.6810 0.5419 0.5340
59 S 0.0456 0.6749 0.4165
60 O 0.5187 0.8781 0.3679
61 O 0.5316 0.6492 0.8626
62 O 0.4762 0.3413 0.4221
63 P 0.6568 0.6264 0.5876
64 O 0.6445 0.5252 0.6427
65 O 0.6834 0.1329 0.0289
66 O 0.9810 0.1850 0.5893
67 O 0.4991 0.6497 0.5812
68 O 0.9728 0.7881 0.8018
69 O 0.3244 0.4697 0.7558
70 S 0.3020 0.2938 0.7512
71 O 0.3478 0.4653 0.3654
72 S 0.7089 0.6995 0.2513
73 O 0.5324 0.8387 0.7548
74 P 0.3256 0.9633 0.9204
75 O 0.1529 0.6911 0.4662
76 O 0.0168 0.1892 0.9130
77 O 0.9972 0.8133 0.0884
78 Na 0.6902 0.0271 0.9103
79 O 0.7986 0.8348 0.9116
80 Na 0.0083 0.9882 0.9937
81 O 0.8812 0.3605 0.6358
82 S 0.6293 0.6749 0.9165
83 O 0.7915 0.9795 0.6976
84 O 0.5346 0.6727 0.2557
85 Mg 0.6611 0.3281 0.1828
86 O 0.0206 0.8032 0.6987
87 S 0.3232 0.3644 0.4179
88 Y 0.3307 0.6771 0.8157
89 O 0.1381 0.6727 0.7557
90 O 0.8114 0.0162 0.0889
91 O 0.1177 0.6492 0.3626
92 O 0.3603 0.8634 0.5784
93 O 0.1433 0.4502 0.9688
94 Y 0.9984 0.9992 0.1492
95 O 0.3062 0.8387 0.2548
96 S 0.3763 0.3442 0.0846
97 O 0.1360 0.4952 0.5768
98 P 0.3004 0.0104 0.2520
99 O 0.6537 0.5247 0.9208
100 O 0.2040 0.1850 0.0893
101 Mg 0.3493 0.6617 0.5159
102 Na 0.3267 0.6593 0.6609
103 O 0.8807 0.5252 0.1427
104 O 0.8651 0.3413 0.9221
105 Mg 0.0121 0.0048 0.8496
106 O 0.8137 0.9821 0.4109
107 S 0.3751 0.0346 0.5830
108 Na 0.6595 0.9574 0.5797
109 O 0.8306 0.5318 0.7456
110 O 0.2048 0.0162 0.5889
111 O 0.5383 0.6911 0.9662
112 O 0.4754 0.3163 0.7464
113 Na 0.3326 0.6593 0.1609
114 O 0.2101 0.0242 0.3064

Computed properties:
Raw total energy = -125.415 eV/f.u.
ΔE_f = -2.6255 eV per atom